Record 1
# VI3 PBE relaxed
# - space-group type = P2_1/m
# - calculated volume (Å³ per cell) = 361.7
# - uncorrected energy (eV/cell) = -30.3
data_VI3
_chemical_formula_sum 'V2 I6'
_symmetry_space_group_name_H-M 'P 1'
_symmetry_Int_Tables_number 1
_cell_length_a 10.694
_cell_length_b 10.568
_cell_length_c 3.680
_cell_angle_alpha 90.00
_cell_angle_beta 90.00
_cell_angle_gamma 119.58
loop_
_symmetry_equiv_pos_as_xyz
'x,y,z'
loop_
_atom_site_label
_atom_site_type_symbol
_atom_site_fract_x
_atom_site_fract_y
_atom_site_fract_z
_atom_site_occupancy
V1 V 0.336 0.668 0.750 1
V2 V 0.664 0.332 0.250 1
I1 I 0.217 0.439 0.250 1
I2 I 0.561 0.781 0.250 1
I3 I 0.217 0.779 0.250 1
I4 I 0.783 0.561 0.750 1
I5 I 0.439 0.219 0.750 1
I6 I 0.783 0.221 0.750 1

=====

Record 2
# RbSbF6 PBE relaxed
# - space-group type = R-3
# - calculated volume (Å³ per cell) = 143.0
# - uncorrected energy (eV/cell) = -37.1
data_RbSbF6
_chemical_formula_sum 'Rb1 Sb1 F6'
_symmetry_space_group_name_H-M 'P 1'
_symmetry_Int_Tables_number 1
_cell_length_a 5.268
_cell_length_b 5.268
_cell_length_c 5.268
_cell_angle_alpha 96.62
_cell_angle_beta 96.62
_cell_angle_gamma 96.62
loop_
_symmetry_equiv_pos_as_xyz
'x,y,z'
loop_
_atom_site_label
_atom_site_type_symbol
_atom_site_fract_x
_atom_site_fract_y
_atom_site_fract_z
_atom_site_occupancy
Rb1 Rb 0.500 0.500 0.500 1
Sb1 Sb 0.000 0.000 0.000 1
F1 F 0.295 0.211 0.919 1
F2 F 0.919 0.295 0.211 1
F3 F 0.789 0.081 0.705 1
F4 F 0.081 0.705 0.789 1
F5 F 0.705 0.789 0.081 1
F6 F 0.211 0.919 0.295 1